# PBE CsTi3AlO8, relaxed
# calculated formation energy: -4109 kJ/mol of formula units
# crystal system: triclinic
data_CsTi3AlO8
_chemical_formula_sum 'Cs1 Ti3 Al1 O8'
_space_group_name_H-M_alt 'P 1'
_space_group_IT_number 1
_cell_length_a 3.0390
_cell_length_b 7.3744
_cell_length_c 7.3898
_cell_angle_alpha 87.52
_cell_angle_beta 78.37
_cell_angle_gamma 78.20
loop_
_space_group_symop_operation_xyz
'x,y,z'
loop_
_atom_site_label
_atom_site_fract_x
_atom_site_fract_y
_atom_site_fract_z
Cs1 0.0000 0.0000 0.0000
Ti1 0.2468 0.8188 0.5099
Ti2 0.5829 0.2014 0.4864
Ti3 0.7525 0.4978 0.8360
Al1 0.0944 0.5163 0.1903
O1 0.2424 0.0583 0.3667
O2 0.2788 0.6363 0.7132
O3 0.2875 0.3698 0.9593
O4 0.6074 0.6352 0.0596
O5 0.6078 0.3820 0.2989
O6 0.6661 0.9494 0.6328
O7 0.9155 0.7037 0.3720
O8 0.9842 0.2975 0.6341